(1)
Crystalline DySiRh at its relaxed geometry, computed with meta-GGA r2SCAN.

```
DySiRh
1.0
6.891 0.000 0.000
0.000 4.238 0.000
0.000 0.000 7.340
Dy Si Rh
4 4 4
Direct
0.003 0.250 0.189
0.497 0.750 0.689
0.503 0.250 0.311
0.997 0.750 0.811
0.202 0.250 0.604
0.298 0.750 0.104
0.702 0.250 0.896
0.798 0.750 0.396
0.152 0.750 0.431
0.348 0.250 0.931
0.652 0.750 0.069
0.848 0.250 0.569
```

Summary:
calculated formation energy = -25.94 kcal/mol of atoms
magnetization = 0.0 Bohr magnetons per cell

---

(2)
Crystalline DySnRh at its relaxed geometry, computed with meta-GGA r2SCAN.

```
DySnRh
1.0
7.569 0.000 0.000
-3.784 6.555 0.000
0.000 0.000 3.777
Dy Sn Rh
3 3 3
Direct
0.000 0.594 0.000
0.406 0.406 0.000
0.594 0.000 0.000
0.000 0.263 0.500
0.263 0.000 0.500
0.737 0.737 0.500
0.000 0.000 0.000
0.333 0.667 0.500
0.667 0.333 0.500
```

Summary:
calculated formation energy = -22.41 kcal/mol of atoms
magnetization = 0.0 Bohr magnetons per cell

---

(3)
Crystalline TbDyRh2 at its relaxed geometry, computed with meta-GGA r2SCAN.

```
TbDyRh2
1.0
6.824 0.000 0.000
0.000 6.824 0.000
0.000 0.000 6.824
Tb Dy Rh
4 4 8
Direct
0.000 0.000 0.000
0.000 0.500 0.500
0.500 0.000 0.500
0.500 0.500 0.000
0.000 0.000 0.500
0.000 0.500 0.000
0.500 0.000 0.000
0.500 0.500 0.500
0.250 0.250 0.250
0.250 0.250 0.750
0.250 0.750 0.250
0.250 0.750 0.750
0.750 0.250 0.250
0.750 0.250 0.750
0.750 0.750 0.250
0.750 0.750 0.750
```

Summary:
calculated formation energy = -21.30 kcal/mol of atoms
magnetization = 0.0 Bohr magnetons per cell

---

(4)
Crystalline DyTlRh2 at its relaxed geometry, computed with meta-GGA r2SCAN.

```
DyTlRh2
1.0
6.638 0.000 0.000
0.000 6.638 0.000
0.000 0.000 6.638
Dy Tl Rh
4 4 8
Direct
0.000 0.000 0.000
0.000 0.500 0.500
0.500 0.000 0.500
0.500 0.500 0.000
0.000 0.000 0.500
0.000 0.500 0.000
0.500 0.000 0.000
0.500 0.500 0.500
0.250 0.250 0.250
0.250 0.250 0.750
0.250 0.750 0.250
0.250 0.750 0.750
0.750 0.250 0.250
0.750 0.250 0.750
0.750 0.750 0.250
0.750 0.750 0.750
```

Summary:
calculated formation energy = -14.11 kcal/mol of atoms
magnetization = 0.0 Bohr magnetons per cell

---

(5)
Crystalline YbDyRh2 at its relaxed geometry, computed with meta-GGA r2SCAN.

```
YbDyRh2
1.0
6.743 0.000 0.000
0.000 6.743 0.000
0.000 0.000 6.743
Yb Dy Rh
4 4 8
Direct
0.000 0.000 0.000
0.000 0.500 0.500
0.500 0.000 0.500
0.500 0.500 0.000
0.000 0.000 0.500
0.000 0.500 0.000
0.500 0.000 0.000
0.500 0.500 0.500
0.250 0.250 0.250
0.250 0.250 0.750
0.250 0.750 0.250
0.250 0.750 0.750
0.750 0.250 0.250
0.750 0.250 0.750
0.750 0.750 0.250
0.750 0.750 0.750
```

Summary:
calculated formation energy = -23.19 kcal/mol of atoms
magnetization = 0.0 Bohr magnetons per cell

---

(6)
Crystalline DyZnRh2 at its relaxed geometry, computed with meta-GGA r2SCAN.

```
DyZnRh2
1.0
6.397 0.000 0.000
0.000 6.397 0.000
0.000 0.000 6.397
Dy Zn Rh
4 4 8
Direct
0.000 0.000 0.000
0.000 0.500 0.500
0.500 0.000 0.500
0.500 0.500 0.000
0.000 0.000 0.500
0.000 0.500 0.000
0.500 0.000 0.000
0.500 0.500 0.500
0.250 0.250 0.250
0.250 0.250 0.750
0.250 0.750 0.250
0.250 0.750 0.750
0.750 0.250 0.250
0.750 0.250 0.750
0.750 0.750 0.250
0.750 0.750 0.750
```

Summary:
calculated formation energy = -16.07 kcal/mol of atoms
magnetization = 0.0 Bohr magnetons per cell

---

Copy entry 1 word for word.
Crystalline DySiRh at its relaxed geometry, computed with meta-GGA r2SCAN.

```
DySiRh
1.0
6.891 0.000 0.000
0.000 4.238 0.000
0.000 0.000 7.340
Dy Si Rh
4 4 4
Direct
0.003 0.250 0.189
0.497 0.750 0.689
0.503 0.250 0.311
0.997 0.750 0.811
0.202 0.250 0.604
0.298 0.750 0.104
0.702 0.250 0.896
0.798 0.750 0.396
0.152 0.750 0.431
0.348 0.250 0.931
0.652 0.750 0.069
0.848 0.250 0.569
```

Summary:
calculated formation energy = -25.94 kcal/mol of atoms
magnetization = 0.0 Bohr magnetons per cell